Y10Si6B after structural relaxation. Source: Materials Project, functional PBE-GGA.

Cell and atoms, written as POSCAR:
```
Y10Si6B
1.0
4.264 -7.386 0.000
4.264 7.386 0.000
0.000 0.000 6.429
Y Si B
10 6 1
Cartesian
3.227 -5.590 1.710
4.264 2.462 3.214
2.074 0.000 1.710
1.037 1.796 4.719
3.227 5.590 1.710
4.264 -2.462 0.000
4.264 2.462 0.000
6.455 0.000 4.719
1.037 -1.796 4.719
4.264 -2.462 3.214
1.692 2.931 1.614
2.572 4.455 4.815
5.145 0.000 1.614
2.572 -4.455 4.815
1.692 -2.931 1.614
3.384 0.000 4.815
0.000 0.000 3.214
```

E_form in eV/atom: -0.6520
Mass density in g cm⁻³: 4.4
Calculated volume in Å³/cell: 405.0



Sm2B5 after structural relaxation. Source: Materials Project, functional PBE-GGA.

Cell and atoms, written as POSCAR:
```
Sm2B5
1.0
-1.865 -2.347 -6.570
4.297 -5.734 0.829
-4.490 -4.836 3.002
Sm B
8 20
Cartesian
-4.404 -7.439 -2.511
-0.117 -8.171 0.503
-1.941 -4.746 -3.242
-0.398 -2.991 -0.282
2.346 -5.478 -0.229
-2.887 -5.717 0.356
-1.660 -9.927 -2.457
0.830 -7.201 -3.096
-2.318 -9.752 0.159
-0.461 -5.807 -1.049
-2.231 -3.219 1.723
0.498 -4.771 -2.101
-1.058 -4.418 1.865
0.174 -9.698 -4.462
-2.763 -8.295 1.149
-2.555 -8.146 -0.638
-1.597 -7.110 -1.690
0.261 -3.165 -2.898
-2.109 -7.474 2.554
0.706 -4.623 -3.888
-1.828 -7.404 -3.404
-0.958 -6.196 2.181
-0.891 -1.939 -2.963
-0.999 -8.499 -4.604
-1.100 -6.721 -4.920
-0.230 -5.514 0.664
-1.167 -10.979 0.224
0.052 -5.443 -5.293
```

E_form in eV/atom: -0.5547
Mass density in g cm⁻³: 6.4
Calculated volume in Å³/cell: 369.3



SmB6 after structural relaxation. Source: Materials Project, functional PBE-GGA.

Cell and atoms, written as POSCAR:
```
SmB6
1.0
-2.178 1.965 2.892
2.655 -1.287 2.875
2.275 3.384 -0.586
B Sm
6 1
Cartesian
0.578 2.418 1.726
2.060 3.048 2.414
2.174 1.644 3.455
2.031 1.440 1.721
0.721 2.622 3.460
0.692 1.014 2.767
0.000 0.000 0.000
```

E_form in eV/atom: -0.4550
Mass density in g cm⁻³: 5.1
Calculated volume in Å³/cell: 69.9